Material: Li2FeSi6O15
Method: DFT, PBE with a Hubbard U
State: relaxed

## Properties
MP2020-corrected energy = -7.8442 eV per atom
E_tot = -702.799 eV per cell
ΔH_f (0 K) = -2.88 eV/atom

Cell: 11.282 11.282 10.030 Å, 90.00 90.00 100.05°
Sites, in units of the cell vectors:
Li: 0.006 0.494 0.250
Li: 0.247 0.247 0.000
Li: 0.253 0.253 0.500
Li: 0.494 0.006 0.750
Li: 0.506 0.994 0.250
Li: 0.747 0.747 0.500
Li: 0.753 0.753 0.000
Li: 0.994 0.506 0.750
Fe: 0.162 0.338 0.750
Fe: 0.338 0.162 0.250
Fe: 0.662 0.838 0.750
Fe: 0.838 0.662 0.250
Si: 0.023 0.760 0.507
Si: 0.042 0.178 0.195
Si: 0.079 0.703 0.045
Si: 0.178 0.042 0.805
Si: 0.203 0.579 0.545
Si: 0.240 0.977 0.507
Si: 0.260 0.523 0.007
Si: 0.297 0.921 0.045
Si: 0.322 0.458 0.305
Si: 0.421 0.797 0.545
Si: 0.458 0.322 0.695
Si: 0.477 0.740 0.007
Si: 0.523 0.260 0.993
Si: 0.542 0.678 0.305
Si: 0.579 0.203 0.455
Si: 0.678 0.542 0.695
Si: 0.703 0.079 0.955
Si: 0.740 0.477 0.993
Si: 0.760 0.023 0.493
Si: 0.797 0.421 0.455
Si: 0.822 0.958 0.195
Si: 0.921 0.297 0.955
Si: 0.958 0.822 0.805
Si: 0.977 0.240 0.493
O: 0.002 0.650 0.174
O: 0.004 0.270 0.082
O: 0.025 0.245 0.337
O: 0.049 0.951 0.810
O: 0.096 0.254 0.585
O: 0.096 0.649 0.488
O: 0.112 0.888 0.479
O: 0.149 0.596 0.988
O: 0.150 0.502 0.674
O: 0.164 0.178 0.838
O: 0.177 0.823 0.082
O: 0.178 0.164 0.162
O: 0.230 0.496 0.418
O: 0.245 0.025 0.663
O: 0.246 0.404 0.915
O: 0.254 0.096 0.415
O: 0.255 0.475 0.163
O: 0.270 0.004 0.918
O: 0.322 0.336 0.662
O: 0.323 0.677 0.582
O: 0.336 0.322 0.338
O: 0.350 0.998 0.174
O: 0.351 0.904 0.488
O: 0.388 0.612 0.979
O: 0.404 0.246 0.085
O: 0.404 0.851 0.988
O: 0.451 0.549 0.310
O: 0.475 0.255 0.837
O: 0.496 0.230 0.582
O: 0.498 0.850 0.674
O: 0.502 0.150 0.326
O: 0.504 0.770 0.418
O: 0.525 0.745 0.163
O: 0.549 0.451 0.690
O: 0.596 0.149 0.012
O: 0.596 0.754 0.915
O: 0.612 0.388 0.021
O: 0.649 0.096 0.512
O: 0.650 0.002 0.826
O: 0.664 0.678 0.662
O: 0.677 0.323 0.418
O: 0.678 0.664 0.338
O: 0.730 0.996 0.082
O: 0.745 0.525 0.837
O: 0.746 0.904 0.585
O: 0.754 0.596 0.085
O: 0.755 0.975 0.337
O: 0.770 0.504 0.582
O: 0.822 0.836 0.838
O: 0.823 0.177 0.918
O: 0.836 0.822 0.162
O: 0.850 0.498 0.326
O: 0.851 0.404 0.012
O: 0.888 0.112 0.521
O: 0.904 0.351 0.512
O: 0.904 0.746 0.415
O: 0.951 0.049 0.190
O: 0.975 0.755 0.663
O: 0.996 0.730 0.918
O: 0.998 0.350 0.826